Record 1
First-principles (PBE+U) data for crystalline LiP3W2O12 at its relaxed geometry, as listed in Materials Project.

Calculated values
E above lowest polymorph (eV/atom): 0.000
Energy of formation from the pure elements (eV/f.u.): -45.562

POSCAR file:
```
LiP3W2O12
1.0
8.632 0.000 0.000
-4.214 7.547 0.000
-4.312 -2.483 7.640
Li P W O
2 6 4 24
Direct
0.151 0.186 0.419
0.849 0.814 0.581
0.211 0.742 0.751
0.217 0.973 0.252
0.494 0.459 0.747
0.506 0.541 0.253
0.783 0.027 0.748
0.789 0.258 0.249
0.297 0.140 0.931
0.297 0.647 0.438
0.703 0.353 0.562
0.703 0.860 0.069
0.000 0.091 0.778
0.000 0.909 0.222
0.033 0.544 0.711
0.142 0.879 0.746
0.214 0.995 0.084
0.274 0.832 0.306
0.277 0.760 0.618
0.325 0.457 0.570
0.329 0.524 0.271
0.362 0.261 0.757
0.368 0.162 0.401
0.408 0.806 0.935
0.410 0.388 0.097
0.590 0.612 0.903
0.592 0.194 0.065
0.632 0.838 0.599
0.638 0.739 0.243
0.671 0.476 0.729
0.675 0.543 0.430
0.723 0.240 0.382
0.726 0.168 0.694
0.786 0.005 0.916
0.858 0.121 0.254
0.967 0.456 0.289
```

---

Record 2
First-principles (PBE+U) data for crystalline Fe13O14 at its relaxed geometry, as listed in Materials Project.

Calculated values
Energy of formation from the pure elements (eV/f.u.): -39.206

POSCAR file:
```
Fe13O14
1.0
4.056 2.342 5.061
-4.056 2.342 5.061
0.000 -4.684 5.061
Fe O
13 14
Direct
0.000 0.000 0.000
0.087 0.780 0.638
0.157 0.566 0.294
0.220 0.362 0.913
0.294 0.157 0.566
0.362 0.913 0.220
0.434 0.706 0.843
0.566 0.294 0.157
0.638 0.087 0.780
0.706 0.843 0.434
0.780 0.638 0.087
0.843 0.434 0.706
0.913 0.220 0.362
0.027 0.897 0.310
0.103 0.690 0.973
0.162 0.464 0.612
0.244 0.244 0.244
0.310 0.027 0.897
0.388 0.838 0.536
0.464 0.612 0.162
0.536 0.388 0.838
0.612 0.162 0.464
0.690 0.973 0.103
0.756 0.756 0.756
0.838 0.536 0.388
0.897 0.310 0.027
0.973 0.103 0.690
```

---

Record order is preserved below.
E_tot: -7.33; -6.65 eV/atom